1.
Compound: HfAu3
Source: Materials Project
Functional: r2SCAN
Structure: relaxed

For the total energy, the calculation gives -49.752 eV/atom.

abc: 4.8352 4.9121 6.0295
angles: 90.00 90.00 90.00
Last column: nearest neighbours and their distance in Å.
Positions (direct):
Au  0.2500  0.6541  0.7500  8 Au 2.84-2.99, 4 Hf 2.87-3.01
Au  0.2500  0.1632  0.5019  8 Au 2.84-3.04, 4 Hf 2.87-2.97
Au  0.7500  0.8368  0.4981  8 Au 2.84-3.04, 4 Hf 2.87-2.97
Au  0.7500  0.8368  0.0019  8 Au 2.84-3.04, 4 Hf 2.87-2.97
Au  0.2500  0.1632  0.9981  8 Au 2.84-3.04, 4 Hf 2.87-2.97
Au  0.7500  0.3459  0.2500  8 Au 2.84-2.99, 4 Hf 2.87-3.01
Hf  0.7500  0.3403  0.7500  12 Au 2.87-3.01
Hf  0.2500  0.6597  0.2500  12 Au 2.87-3.01

---

2.
Compound: HfAu2
Source: Materials Project
Functional: r2SCAN
Structure: relaxed

For the total energy, the calculation gives -49.390 eV/atom.

abc: 3.5457 3.5457 5.0270
angles: 110.66 110.66 90.00
Last column: nearest neighbours and their distance in Å.
Positions (direct):
Hf  0.0000  0.0000  0.0000  10 Au 2.90
Au  0.6672  0.6672  0.3347  5 Au 2.89-2.92, 5 Hf 2.90
Au  0.3328  0.3328  0.6653  5 Au 2.89-2.92, 5 Hf 2.90